Entry from Materials Project: a relaxed structure of NdInCu (meta-GGA r2SCAN). Values from VASP.

Structure (Quantum ESPRESSO input):
```
&SYSTEM
  ibrav = 0, nat = 9, ntyp = 3
/
ATOMIC_SPECIES
Nd 144.24 Nd.upf
In 114.82 In.upf
Cu 63.55 Cu.upf
CELL_PARAMETERS angstrom
7.579 0.000 0.000
-3.789 6.563 0.000
0.000 0.000 4.066
ATOMIC_POSITIONS angstrom
Nd -2.221 3.846 2.033
Nd 1.569 2.717 2.033
Nd 4.441 0.000 2.033
In 2.853 4.942 0.000
In -0.936 1.621 0.000
In 1.872 0.000 0.000
Cu 0.000 4.376 0.000
Cu 0.000 0.000 2.033
Cu 3.789 2.188 0.000
```

Output
V = 22.5 Å³/atom
formation energy = -1.39 eV per formula unit
space-group type = P-62m, No. 189

Entry from Materials Project: a relaxed structure of InCu6O8 (meta-GGA r2SCAN). Values from VASP.

Structure (Quantum ESPRESSO input):
```
&SYSTEM
  ibrav = 0, nat = 15, ntyp = 3
/
ATOMIC_SPECIES
In 114.82 In.upf
Cu 63.55 Cu.upf
O 16.00 O.upf
CELL_PARAMETERS angstrom
-0.013 4.582 4.582
4.569 0.000 4.569
4.569 4.569 0.000
ATOMIC_POSITIONS angstrom
In 0.000 0.000 0.000
Cu 2.285 2.285 0.000
Cu -0.007 2.291 2.291
Cu 2.285 0.000 2.285
Cu 2.278 2.291 4.576
Cu 4.569 2.284 2.284
Cu 2.278 4.576 2.291
O 3.265 3.252 1.304
O 3.265 1.304 3.252
O 1.279 3.290 3.290
O 5.860 7.847 5.899
O 1.317 1.304 1.304
O 7.808 7.847 7.847
O 5.860 5.899 7.847
O 7.846 5.861 5.861
```

Output
V = 12.8 Å³/atom
formation energy = -14.00 eV per formula unit
space-group type = R-3m, No. 166

Entry from Materials Project: a relaxed structure of PmInCu2 (meta-GGA r2SCAN). Values from VASP.

Structure (Quantum ESPRESSO input):
```
&SYSTEM
  ibrav = 0, nat = 4, ntyp = 3
/
ATOMIC_SPECIES
Pm 145.00 Pm.upf
In 114.82 In.upf
Cu 63.55 Cu.upf
CELL_PARAMETERS angstrom
1.365 -4.438 -0.929
-1.974 -2.388 -3.585
2.528 -0.936 -3.894
ATOMIC_POSITIONS angstrom
Pm 1.440 -5.822 -6.306
In 0.480 -1.941 -2.102
Cu 0.961 -3.887 -4.203
Cu 1.364 -4.433 -0.929
```

Output
V = 18.8 Å³/atom
formation energy = -1.39 eV per formula unit
space-group type = R-3m, No. 166

Entry from Materials Project: a relaxed structure of Pr2InCu2 (meta-GGA r2SCAN). Values from VASP.

Structure (Quantum ESPRESSO input):
```
&SYSTEM
  ibrav = 0, nat = 10, ntyp = 3
/
ATOMIC_SPECIES
Pr 140.91 Pr.upf
In 114.82 In.upf
Cu 63.55 Cu.upf
CELL_PARAMETERS angstrom
-5.546 -5.113 1.717
4.233 -5.652 -3.160
1.686 -0.669 3.455
ATOMIC_POSITIONS angstrom
Pr -2.161 -4.790 2.332
Pr 2.535 -6.644 -0.319
Pr 1.234 -3.065 1.008
Pr -0.861 -8.369 1.004
In -0.656 -5.383 -0.721
In 0.000 0.000 0.000
Cu 1.963 -4.083 -1.748
Cu -3.276 -6.683 0.306
Cu 0.318 -8.146 -1.732
Cu -1.631 -2.620 0.289
```

Output
V = 23.4 Å³/atom
formation energy = -1.77 eV per formula unit
space-group type = P4/mbm, No. 127

Entry from Materials Project: a relaxed structure of PrInCu (meta-GGA r2SCAN). Values from VASP.

Structure (Quantum ESPRESSO input):
```
&SYSTEM
  ibrav = 0, nat = 9, ntyp = 3
/
ATOMIC_SPECIES
Pr 140.91 Pr.upf
In 114.82 In.upf
Cu 63.55 Cu.upf
CELL_PARAMETERS angstrom
3.823 -6.622 0.000
3.823 6.622 0.000
0.000 0.000 4.071
ATOMIC_POSITIONS angstrom
Pr 3.178 0.000 2.036
Pr 2.234 -3.870 2.036
Pr 2.234 3.870 2.036
In 5.775 0.000 0.000
In 0.936 -1.621 0.000
In 0.936 1.621 0.000
Cu 3.823 -2.207 0.000
Cu 3.823 2.207 0.000
Cu 0.000 0.000 2.036
```

Output
V = 22.9 Å³/atom
formation energy = -1.34 eV per formula unit
space-group type = P-62m, No. 189

Entry from Materials Project: a relaxed structure of PrInCu5 (meta-GGA r2SCAN). Values from VASP.

Structure (Quantum ESPRESSO input):
```
&SYSTEM
  ibrav = 0, nat = 28, ntyp = 3
/
ATOMIC_SPECIES
Pr 140.91 Pr.upf
In 114.82 In.upf
Cu 63.55 Cu.upf
CELL_PARAMETERS angstrom
-2.892 2.992 -2.895
-6.466 -5.074 1.217
-2.764 5.562 8.508
ATOMIC_POSITIONS angstrom
Pr -5.775 -2.765 0.693
Pr -6.347 6.245 6.137
Pr -8.521 1.577 3.484
Pr -3.601 1.904 3.346
In -5.859 -0.495 3.123
In -6.262 3.975 3.707
In -10.107 2.668 6.196
In -2.015 0.812 0.633
Cu -8.073 0.738 6.608
Cu -4.049 2.742 0.221
Cu -7.253 0.147 0.740
Cu -4.869 3.333 6.090
Cu -7.359 3.137 6.162
Cu -4.763 0.343 0.668
Cu -8.344 -1.493 2.348
Cu -6.204 1.835 -0.775
Cu -3.778 4.973 4.482
Cu -5.918 1.645 7.605
Cu -2.337 3.482 5.925
Cu -9.785 -0.002 0.904
Cu -6.032 1.288 5.138
Cu -6.090 2.192 1.692
Cu -8.542 -1.916 -0.104
Cu -3.580 5.396 6.933
Cu -8.075 -1.036 4.777
Cu -4.047 4.517 2.053
Cu -5.983 -0.630 -1.331
Cu -6.139 4.110 8.160
```

Output
V = 15.8 Å³/atom
formation energy = -1.58 eV per formula unit
space-group type = Pnma, No. 62

Entry from Materials Project: a relaxed structure of InCuS2 (meta-GGA r2SCAN). Values from VASP.

Structure (Quantum ESPRESSO input):
```
&SYSTEM
  ibrav = 0, nat = 8, ntyp = 3
/
ATOMIC_SPECIES
In 114.82 In.upf
Cu 63.55 Cu.upf
S 32.06 S.upf
CELL_PARAMETERS angstrom
5.044 0.000 -2.244
-0.998 4.944 -2.244
0.002 0.003 6.796
ATOMIC_POSITIONS angstrom
In 2.023 2.472 -2.244
In 3.534 1.237 1.154
Cu 0.513 3.709 1.154
Cu 0.000 0.000 0.000
S 3.686 4.327 -2.292
S 3.058 0.478 3.479
S 1.372 1.855 0.081
S -0.020 3.234 3.350
```

Output
V = 21.2 Å³/atom
formation energy = -2.50 eV per formula unit
space-group type = I-42d, No. 122

Entry from Materials Project: a relaxed structure of Sc2InCu2 (meta-GGA r2SCAN). Values from VASP.

Structure (Quantum ESPRESSO input):
```
&SYSTEM
  ibrav = 0, nat = 10, ntyp = 3
/
ATOMIC_SPECIES
Sc 44.96 Sc.upf
In 114.82 In.upf
Cu 63.55 Cu.upf
CELL_PARAMETERS angstrom
-3.326 -4.236 4.740
-1.825 -4.488 -5.292
2.963 -1.780 0.488
ATOMIC_POSITIONS angstrom
Sc -1.164 -2.202 -0.967
Sc -3.987 -6.522 0.415
Sc -2.525 -3.578 2.278
Sc -2.626 -5.146 -2.829
In 1.481 -0.890 0.244
In -1.094 -5.252 -0.032
Cu 0.004 -3.039 1.373
Cu -2.192 -7.465 -1.437
Cu -2.120 -6.291 2.406
Cu -0.068 -4.214 -2.470
```

Output
V = 18.0 Å³/atom
formation energy = -2.05 eV per formula unit
space-group type = P4/mbm, No. 127

Entry from Materials Project: a relaxed structure of ScInCu4 (meta-GGA r2SCAN). Values from VASP.

Structure (Quantum ESPRESSO input):
```
&SYSTEM
  ibrav = 0, nat = 6, ntyp = 3
/
ATOMIC_SPECIES
Sc 44.96 Sc.upf
In 114.82 In.upf
Cu 63.55 Cu.upf
CELL_PARAMETERS angstrom
3.921 -3.017 -0.321
-0.105 -4.444 2.196
-0.259 -4.118 -2.749
ATOMIC_POSITIONS angstrom
Sc 0.000 0.000 0.000
In 0.889 -2.895 -0.218
Cu 2.224 -7.239 -0.546
Cu 0.261 -5.729 -0.385
Cu 2.276 -5.014 -1.646
Cu 2.354 -5.177 0.830
```

Output
V = 14.4 Å³/atom
formation energy = -1.77 eV per formula unit
space-group type = F-43m, No. 216

Entry from Materials Project: a relaxed structure of In5CuSe8 (meta-GGA r2SCAN). Values from VASP.

Structure (Quantum ESPRESSO input):
```
&SYSTEM
  ibrav = 0, nat = 14, ntyp = 3
/
ATOMIC_SPECIES
In 114.82 In.upf
Cu 63.55 Cu.upf
Se 78.96 Se.upf
CELL_PARAMETERS angstrom
5.825 0.000 0.000
0.000 5.825 0.000
0.000 0.000 11.638
ATOMIC_POSITIONS angstrom
In 0.000 2.912 3.050
In 2.912 0.000 8.587
In 0.000 2.912 8.587
In 2.912 0.000 3.050
In 0.000 0.000 0.000
Cu 2.912 2.912 5.819
Se 1.573 1.573 1.366
Se 4.251 4.251 1.366
Se 1.573 4.251 10.271
Se 4.251 1.573 10.271
Se 1.427 1.427 7.048
Se 4.397 4.397 7.048
Se 1.427 4.397 4.589
Se 4.397 1.427 4.589
```

Output
V = 28.2 Å³/atom
formation energy = -9.11 eV per formula unit
space-group type = P-42m, No. 111

Entry from Materials Project: a relaxed structure of In3CuSe5 (meta-GGA r2SCAN). Values from VASP.

Structure (Quantum ESPRESSO input):
```
&SYSTEM
  ibrav = 0, nat = 9, ntyp = 3
/
ATOMIC_SPECIES
In 114.82 In.upf
Cu 63.55 Cu.upf
Se 78.96 Se.upf
CELL_PARAMETERS angstrom
5.792 0.000 0.014
2.872 6.516 0.012
2.871 0.048 6.537
ATOMIC_POSITIONS angstrom
In 8.705 5.331 3.859
In 5.905 3.889 1.334
In 5.730 2.523 5.286
Cu 5.678 0.084 0.040
Se 1.461 1.762 0.788
Se 7.427 0.722 4.537
Se 7.151 6.062 1.930
Se 7.110 4.720 5.932
Se 4.202 3.120 3.215
```

Output
V = 27.4 Å³/atom
formation energy = -5.65 eV per formula unit
space-group type = P1, No. 1

Entry from Materials Project: a relaxed structure of TbInCu4 (meta-GGA r2SCAN). Values from VASP.

Structure (Quantum ESPRESSO input):
```
&SYSTEM
  ibrav = 0, nat = 6, ntyp = 3
/
ATOMIC_SPECIES
Tb 158.93 Tb.upf
In 114.82 In.upf
Cu 63.55 Cu.upf
CELL_PARAMETERS angstrom
0.000 3.589 3.589
3.589 0.000 3.589
3.589 3.589 0.000
ATOMIC_POSITIONS angstrom
Tb 0.000 0.000 0.000
In 1.795 1.795 1.795
Cu 4.484 4.484 4.484
Cu 2.694 2.694 4.484
Cu 4.484 2.694 2.694
Cu 2.694 4.484 2.694
```

Output
V = 15.4 Å³/atom
formation energy = -1.87 eV per formula unit
space-group type = F-43m, No. 216

Entry from Materials Project: a relaxed structure of Tb2InCu2 (meta-GGA r2SCAN). Values from VASP.

Structure (Quantum ESPRESSO input):
```
&SYSTEM
  ibrav = 0, nat = 10, ntyp = 3
/
ATOMIC_SPECIES
Tb 158.93 Tb.upf
In 114.82 In.upf
Cu 63.55 Cu.upf
CELL_PARAMETERS angstrom
-4.702 -5.054 -2.851
3.030 -5.269 4.341
-2.500 0.796 2.712
ATOMIC_POSITIONS angstrom
Tb -3.890 -3.913 0.188
Tb -0.282 -5.613 4.014
Tb -1.071 -2.199 2.284
Tb -3.101 -7.327 1.918
In -0.836 -5.161 0.745
In 0.000 0.000 0.000
Cu 1.315 -3.872 2.349
Cu -2.987 -6.451 -0.859
Cu -0.248 -7.770 2.053
Cu -1.423 -2.553 -0.563
```

Output
V = 21.1 Å³/atom
formation energy = -2.22 eV per formula unit
space-group type = P4/mbm, No. 127

Entry from Materials Project: a relaxed structure of ThInCu5 (meta-GGA r2SCAN). Values from VASP.

Structure (Quantum ESPRESSO input):
```
&SYSTEM
  ibrav = 0, nat = 28, ntyp = 3
/
ATOMIC_SPECIES
Th 232.04 Th.upf
In 114.82 In.upf
Cu 63.55 Cu.upf
CELL_PARAMETERS angstrom
5.045 0.000 0.000
0.000 8.271 0.000
0.000 0.000 10.592
ATOMIC_POSITIONS angstrom
Th 3.784 2.045 9.955
Th 1.261 6.226 0.637
Th 3.784 6.181 5.933
Th 1.261 2.091 4.659
In 3.784 2.980 6.761
In 1.261 5.292 3.831
In 3.784 7.115 9.127
In 1.261 1.156 1.465
Cu 0.000 3.574 1.981
Cu 2.523 4.697 8.611
Cu 2.522 7.710 3.315
Cu 5.045 0.562 7.277
Cu 5.045 4.697 8.611
Cu 2.522 3.574 1.981
Cu 2.523 0.562 7.277
Cu 0.000 7.710 3.315
Cu 3.784 3.632 4.155
Cu 1.261 4.639 6.437
Cu 3.784 7.768 1.141
Cu 1.261 0.504 9.451
Cu 3.784 1.496 2.705
Cu 1.261 6.775 7.887
Cu 3.784 5.632 2.591
Cu 1.261 2.640 8.001
Cu 3.784 0.691 5.121
Cu 1.261 7.580 5.470
Cu 3.784 4.827 0.174
Cu 1.261 3.444 10.417
```

Output
V = 15.8 Å³/atom
formation energy = -1.60 eV per formula unit
space-group type = Pnma, No. 62

Entry from Materials Project: a relaxed structure of TmInCu4 (meta-GGA r2SCAN). Values from VASP.

Structure (Quantum ESPRESSO input):
```
&SYSTEM
  ibrav = 0, nat = 6, ntyp = 3
/
ATOMIC_SPECIES
Tm 168.93 Tm.upf
In 114.82 In.upf
Cu 63.55 Cu.upf
CELL_PARAMETERS angstrom
0.000 3.562 3.562
3.562 0.000 3.562
3.562 3.562 0.000
ATOMIC_POSITIONS angstrom
Tm 1.781 1.781 1.781
In 0.000 0.000 0.000
Cu 4.454 4.454 4.454
Cu 2.671 2.671 4.454
Cu 2.671 4.454 2.671
Cu 4.454 2.671 2.671
```

Output
V = 15.1 Å³/atom
formation energy = -1.97 eV per formula unit
space-group type = F-43m, No. 216

Entry from Materials Project: a relaxed structure of TmInCu2 (meta-GGA r2SCAN). Values from VASP.

Structure (Quantum ESPRESSO input):
```
&SYSTEM
  ibrav = 0, nat = 4, ntyp = 3
/
ATOMIC_SPECIES
Tm 168.93 Tm.upf
In 114.82 In.upf
Cu 63.55 Cu.upf
CELL_PARAMETERS angstrom
3.994 -0.003 2.303
1.329 3.766 2.303
0.001 0.001 4.604
ATOMIC_POSITIONS angstrom
Tm 2.662 1.882 4.605
In 3.995 -0.001 6.907
Cu 1.321 0.934 2.297
Cu 4.002 2.831 6.913
```

Output
V = 17.3 Å³/atom
formation energy = -1.50 eV per formula unit
space-group type = C2/m, No. 12

Entry from Materials Project: a relaxed structure of YIn6Cu6 (meta-GGA r2SCAN). Values from VASP.

Structure (Quantum ESPRESSO input):
```
&SYSTEM
  ibrav = 0, nat = 13, ntyp = 3
/
ATOMIC_SPECIES
Y 88.91 Y.upf
In 114.82 In.upf
Cu 63.55 Cu.upf
CELL_PARAMETERS angstrom
-2.712 4.554 4.592
2.712 -4.554 4.592
2.712 4.554 -4.592
ATOMIC_POSITIONS angstrom
Y 0.000 0.000 0.000
In 0.000 3.076 0.000
In 0.000 6.033 0.000
In 0.000 0.000 3.142
In 0.000 0.000 6.042
In 0.000 4.554 2.926
In 2.712 0.000 1.666
Cu 1.356 -2.277 2.296
Cu 1.356 2.277 -2.296
Cu -1.356 2.277 2.296
Cu 1.356 2.277 2.296
Cu 0.000 2.390 4.592
Cu 2.712 2.164 0.000
```

Output
V = 17.5 Å³/atom
formation energy = -2.43 eV per formula unit
space-group type = Immm, No. 71

Entry from Materials Project: a relaxed structure of Pm2CuIr (meta-GGA r2SCAN). Values from VASP.

Structure (Quantum ESPRESSO input):
```
&SYSTEM
  ibrav = 0, nat = 4, ntyp = 3
/
ATOMIC_SPECIES
Pm 145.00 Pm.upf
Cu 63.55 Cu.upf
Ir 192.22 Ir.upf
CELL_PARAMETERS angstrom
-0.004 3.518 3.517
3.515 -0.002 3.515
3.513 3.513 0.000
ATOMIC_POSITIONS angstrom
Pm -0.004 3.518 3.517
Pm 3.512 3.515 3.517
Cu 1.756 1.757 1.758
Ir 5.268 5.272 5.274
```

Output
V = 21.7 Å³/atom
formation energy = -2.09 eV per formula unit
space-group type = C2/m, No. 12

Entry from Materials Project: a relaxed structure of CuIr2S4 (meta-GGA r2SCAN). Values from VASP.

Structure (Quantum ESPRESSO input):
```
&SYSTEM
  ibrav = 0, nat = 14, ntyp = 3
/
ATOMIC_SPECIES
Cu 63.55 Cu.upf
Ir 192.22 Ir.upf
S 32.06 S.upf
CELL_PARAMETERS angstrom
6.041 0.000 3.488
2.014 5.696 3.488
0.000 0.000 6.976
ATOMIC_POSITIONS angstrom
Cu 7.048 4.984 12.208
Cu 1.007 0.712 1.744
Ir 4.028 2.848 3.488
Ir 4.028 2.848 6.976
Ir 1.007 2.848 5.232
Ir 3.021 0.000 5.232
S 5.963 4.216 10.328
S 2.092 1.479 6.840
S 3.021 4.105 5.232
S 4.878 1.479 5.232
S 5.035 1.590 8.720
S 3.178 4.216 8.720
S 2.092 1.479 3.624
S 5.963 4.216 7.112
```

Output
V = 17.1 Å³/atom
formation energy = -3.34 eV per formula unit
space-group type = Fd-3m, No. 227